Record 1
Density functional theory data (PBE with a Hubbard U) for AcCrO3 after structural relaxation.

Cell lengths 3.9893, 3.9893, 3.9893 Å; angles 90.00, 90.00, 90.00 degrees
Space group Pm-3m (No. 221)
Symmetry-distinct sites (fractional):
Ac (0.0000, 0.0000, 0.0000)
Cr (0.5000, 0.5000, 0.5000)
O (0.0000, 0.5000, 0.5000)

total DFT energy (no corrections)	-8.051	eV per atom
calculated formation energy	-3.139	eV per atom

Record 2
Density functional theory data (PBE with a Hubbard U) for Co3P2O8 after structural relaxation.

Cell lengths 8.8000, 9.9259, 21.1779 Å; angles 90.00, 105.12, 90.00 degrees
Space group P2_1/c (No. 14)
Symmetry-distinct sites (fractional):
Co (0.0075, 0.2185, 0.0449)
Co (0.0286, 0.1147, 0.4172)
Co (0.0714, 0.5806, 0.2837)
Co (0.2948, 0.6129, 0.7556)
Co (0.3010, 0.1067, 0.8920)
Co (0.3073, 0.2051, 0.7035)
Co (0.3577, 0.1182, 0.0766)
Co (0.3709, 0.5940, 0.9406)
Co (0.3763, 0.7223, 0.1402)
P (0.0226, 0.6425, 0.8299)
P (0.0729, 0.5749, 0.6054)
P (0.2597, 0.0542, 0.5609)
P (0.2786, 0.1300, 0.3284)
P (0.3678, 0.6450, 0.4980)
P (0.4315, 0.5678, 0.2812)
O (0.0067, 0.6876, 0.5560)
O (0.0584, 0.0309, 0.8621)
O (0.0683, 0.2420, 0.1465)
O (0.1020, 0.1097, 0.5158)
O (0.1062, 0.0566, 0.7163)
O (0.1169, 0.5615, 0.8902)
O (0.1301, 0.0445, 0.0692)
O (0.1367, 0.7128, 0.7944)
O (0.1651, 0.0728, 0.2651)
O (0.1942, 0.2025, 0.3755)
O (0.2181, 0.5733, 0.0971)
O (0.2178, 0.6326, 0.6574)
O (0.2264, 0.7414, 0.4837)
O (0.3197, 0.5354, 0.3252)
O (0.3247, 0.0046, 0.9817)
O (0.3272, 0.1693, 0.6089)
O (0.3558, 0.6822, 0.2342)
O (0.3770, 0.0214, 0.5202)
O (0.3785, 0.2432, 0.3076)
O (0.3883, 0.0132, 0.3605)
O (0.4083, 0.1194, 0.1745)
O (0.4558, 0.6536, 0.5730)
O (0.4706, 0.0552, 0.7425)
O (0.4725, 0.7073, 0.4555)

excess energy over the best structure of this formula in the dataset	78.1	meV per atom
magnetization	108.00	μB/cell
total DFT energy (no corrections)	-6.801	eV per atom
calculated formation energy	-2.084	eV per atom

Record 3
Density functional theory data (PBE with a Hubbard U) for Sr2VO4 after structural relaxation.

Cell lengths 3.8415, 3.8415, 12.9045 Å; angles 90.00, 90.00, 90.00 degrees
Space group I4/mmm (No. 139)
Symmetry-distinct sites (fractional):
Sr (0.0000, 0.0000, 0.1481)
V (0.0000, 0.0000, 0.5000)
O (0.0000, 0.0000, 0.3409)
O (0.0000, 0.5000, 0.0000)

excess energy over the best structure of this formula in the dataset	0.0	meV per atom
magnetization	2.00	μB/cell
total DFT energy (no corrections)	-6.934	eV per atom
calculated formation energy	-2.961	eV per atom

Record 4
Density functional theory data (PBE with a Hubbard U) for MnO2 after structural relaxation.

Cell lengths 8.2294, 8.2376, 8.2546 Å; angles 90.00, 90.00, 90.00 degrees
Space group Fddd (No. 70, origin choice 2)
Symmetry-distinct sites (fractional):
Mn (0.0000, 0.0000, 0.0000)
O (0.0145, 0.0148, 0.2348)

total DFT energy (no corrections)	-7.112	eV per atom
calculated formation energy	-1.773	eV per atom